Record 1
# KB2SbO6 | the Materials Project | PBE | relaxed
data_KB2SbO6
_chemical_formula_sum 'K4 B8 Sb4 O24'
_cell_length_a 11.7875
_cell_length_b 7.1494
_cell_length_c 7.5114
_cell_angle_alpha 90.00
_cell_angle_beta 125.25
_cell_angle_gamma 90.00
_symmetry_space_group_name_H-M 'C 1 c 1'
_symmetry_Int_Tables_number 9
_symmetry_space_group_name_Hall 'C -2yc'
loop_
_atom_site_label
_atom_site_type_symbol
_atom_site_fract_x
_atom_site_fract_y
_atom_site_fract_z
K1 K 0.0000 0.0176 0.0000
B1 B 0.1755 0.2878 0.9120
B2 B 0.2115 0.3697 0.5046
Sb1 Sb 0.4108 0.0152 0.6736
O1 O 0.0381 0.2978 0.7363
O2 O 0.0780 0.3139 0.3541
O3 O 0.2273 0.1106 0.9672
O4 O 0.2560 0.4432 0.0293
O5 O 0.3127 0.2500 0.6533
O6 O 0.4109 0.0879 0.4193
# **Uncorrected energy**: -6.8817 eV per atom
# **Energy of formation**: -2.465 eV per atom



Record 2
# Lu2MgS4 | the Materials Project | PBE | relaxed
data_Lu2MgS4
_chemical_formula_sum 'Lu8 Mg4 S16'
_cell_length_a 7.8450
_cell_length_b 7.2858
_cell_length_c 11.1956
_cell_angle_alpha 90.00
_cell_angle_beta 90.00
_cell_angle_gamma 90.00
_symmetry_space_group_name_H-M 'P n m a'
_symmetry_Int_Tables_number 62
_symmetry_space_group_name_Hall '-P 2ac 2n'
loop_
_atom_site_label
_atom_site_type_symbol
_atom_site_fract_x
_atom_site_fract_y
_atom_site_fract_z
Lu1 Lu 0.0377 0.2500 0.1940
Lu2 Lu 0.0668 0.7500 0.4841
Mg1 Mg 0.1774 0.7500 0.0971
S1 S 0.1104 0.2500 0.9613
S2 S 0.1182 0.0055 0.6577
S3 S 0.2256 0.2500 0.3888
# **Uncorrected energy**: -5.5003 eV per atom
# **Offset from the most stable computed form**: 279 meV per atom
# **Energy of formation**: -1.904 eV per atom



Record 3
# SrCaEuSbO6 | the Materials Project | PBE | relaxed
data_SrCaEuSbO6
_chemical_formula_sum 'Sr4 Ca4 Eu4 Sb4 O24'
_cell_length_a 8.3350
_cell_length_b 8.3350
_cell_length_c 8.3350
_cell_angle_alpha 90.00
_cell_angle_beta 90.00
_cell_angle_gamma 90.00
_symmetry_space_group_name_H-M 'F -4 3 m'
_symmetry_Int_Tables_number 216
_symmetry_space_group_name_Hall 'F -4 2 3'
loop_
_atom_site_label
_atom_site_type_symbol
_atom_site_fract_x
_atom_site_fract_y
_atom_site_fract_z
Sr1 Sr 0.0000 0.0000 0.0000
Ca1 Ca 0.2500 0.2500 0.2500
Eu1 Eu 0.0000 0.0000 0.5000
Sb1 Sb 0.2500 0.2500 0.7500
O1 O 0.0145 0.2500 0.7500
# **Uncorrected energy**: -7.0958 eV per atom
# **Offset from the most stable computed form**: 95 meV per atom
# **Energy of formation**: -2.731 eV per atom



Record 4
# GaBr2 | the Materials Project | PBE | relaxed
data_GaBr2
_chemical_formula_sum 'Ga8 Br16'
_cell_length_a 7.8577
_cell_length_b 10.5096
_cell_length_c 10.7372
_cell_angle_alpha 90.00
_cell_angle_beta 90.00
_cell_angle_gamma 90.00
_symmetry_space_group_name_H-M 'P n n a'
_symmetry_Int_Tables_number 52
_symmetry_space_group_name_Hall '-P 2a 2bc'
loop_
_atom_site_label
_atom_site_type_symbol
_atom_site_fract_x
_atom_site_fract_y
_atom_site_fract_z
Ga1 Ga 0.0984 0.2500 0.2500
Ga2 Ga 0.2500 0.0000 0.6867
Br1 Br 0.0056 0.0344 0.8108
Br2 Br 0.1797 0.6803 0.9366
# **Uncorrected energy**: -2.8784 eV per atom
# **Offset from the most stable computed form**: 0 meV per atom
# **Energy of formation**: -1.134 eV per atom



Record 5
# Mg5Ti | the Materials Project | PBE | relaxed
data_Mg5Ti
_chemical_formula_sum 'Mg15 Ti3'
_cell_length_a 5.3822
_cell_length_b 5.3822
_cell_length_c 15.8017
_cell_angle_alpha 90.00
_cell_angle_beta 90.00
_cell_angle_gamma 120.00
_symmetry_space_group_name_H-M 'R 3 2'
_symmetry_Int_Tables_number 155
_symmetry_space_group_name_Hall 'R 3 2"'
loop_
_atom_site_label
_atom_site_type_symbol
_atom_site_fract_x
_atom_site_fract_y
_atom_site_fract_z
Mg1 Mg 0.0000 0.0000 0.1651
Mg2 Mg 0.0000 0.6599 0.0000
Ti1 Ti 0.0000 0.0000 0.5000
# **Uncorrected energy**: -2.4908 eV per atom
# **Energy of formation**: 0.159 eV per atom



Record 6
# TaNi3 | the Materials Project | PBE | relaxed
data_TaNi3
_chemical_formula_sum 'Ta2 Ni6'
_cell_length_a 3.6288
_cell_length_b 3.6288
_cell_length_c 7.4821
_cell_angle_alpha 90.00
_cell_angle_beta 90.00
_cell_angle_gamma 90.00
_symmetry_space_group_name_H-M 'I 4/m m m'
_symmetry_Int_Tables_number 139
_symmetry_space_group_name_Hall '-I 4 2'
loop_
_atom_site_label
_atom_site_type_symbol
_atom_site_fract_x
_atom_site_fract_y
_atom_site_fract_z
Ta1 Ta 0.0000 0.0000 0.0000
Ni1 Ni 0.0000 0.0000 0.5000
Ni2 Ni 0.0000 0.5000 0.2500
# **Uncorrected energy**: -7.6603 eV per atom
# **Energy of formation**: -0.361 eV per atom



Record 7
# K2NaPrI6 | the Materials Project | PBE | relaxed
data_K2NaPrI6
_chemical_formula_sum 'K8 Na4 Pr4 I24'
_cell_length_a 12.4859
_cell_length_b 12.4859
_cell_length_c 12.4859
_cell_angle_alpha 90.00
_cell_angle_beta 90.00
_cell_angle_gamma 90.00
_symmetry_space_group_name_H-M 'F m -3 m'
_symmetry_Int_Tables_number 225
_symmetry_space_group_name_Hall '-F 4 2 3'
loop_
_atom_site_label
_atom_site_type_symbol
_atom_site_fract_x
_atom_site_fract_y
_atom_site_fract_z
K1 K 0.2500 0.2500 0.2500
Na1 Na 0.0000 0.0000 0.0000
Pr1 Pr 0.0000 0.0000 0.5000
I1 I 0.0000 0.0000 0.2502
# **Uncorrected energy**: -3.1047 eV per atom
# **Energy of formation**: -1.585 eV per atom



Record 8
# HoCuTe2 | the Materials Project | PBE | relaxed
data_HoCuTe2
_chemical_formula_sum 'Ho1 Cu1 Te2'
_cell_length_a 4.2879
_cell_length_b 4.2879
_cell_length_c 6.6937
_cell_angle_alpha 90.00
_cell_angle_beta 90.00
_cell_angle_gamma 120.00
_symmetry_space_group_name_H-M 'P -3 m 1'
_symmetry_Int_Tables_number 164
_symmetry_space_group_name_Hall '-P 3 2"'
loop_
_atom_site_label
_atom_site_type_symbol
_atom_site_fract_x
_atom_site_fract_y
_atom_site_fract_z
Ho1 Ho 0.0000 0.0000 0.0000
Cu1 Cu 0.0000 0.0000 0.5000
Te1 Te 0.3333 0.6667 0.2719
# **Uncorrected energy**: -4.5391 eV per atom
# **Energy of formation**: -1.008 eV per atom



Number 2 is which compound?
Lu2MgS4